1.
## Na4AlGaSi2SO12 (PBE)

Data for an optimized crystal structure of Na4AlGaSi2SO12.

Properties
ΔH_f (0 K)	-2.5695	eV/atom
M_tot	0.00	μB/atom
crystal system	triclinic

Unit cell a=8.8262 b=8.8335 c=21.7114 alpha=89.93 beta=90.06 gamma=119.50
Sites, in units of the cell vectors:
1 O 0.5157 0.8662 0.0755
2 O 0.5376 0.8347 0.4762
3 Si 0.3325 0.9545 0.9167
4 Al 0.6644 0.3330 0.9813
5 O 0.5047 0.1511 0.9236
6 O 0.5420 0.6960 0.9720
7 Si 0.9985 0.2868 0.2487
8 O 0.9702 0.1717 0.3115
9 Al 0.3052 0.6485 0.0182
10 Ga 0.9715 0.9816 0.3520
11 Na 0.3681 0.3743 0.2438
12 O 0.8526 0.3065 0.5278
13 O 0.5136 0.6941 0.2540
14 O 0.0318 0.1949 0.1891
15 O 0.9743 0.7945 0.8061
16 O 0.1625 0.6950 0.7563
17 O 0.8287 0.5341 0.0233
18 S 0.3335 0.3788 0.4174
19 O 0.0157 0.1790 0.9113
20 S 0.2874 0.0012 0.2489
21 Si 0.3763 0.3347 0.0818
22 Si 0.7100 0.9981 0.7517
23 O 0.5138 0.8278 0.7583
24 Na 0.3491 0.6735 0.6671
25 O 0.3079 0.4622 0.4722
26 O 0.0320 0.8149 0.6951
27 Na 0.6403 0.0000 0.2535
28 Ga 0.3317 0.6678 0.3145
29 O 0.7973 0.8180 0.9111
30 S 0.9605 0.3360 0.5831
31 Al 0.0186 0.0281 0.8531
32 Na 0.6612 0.9591 0.5868
33 O 0.1365 0.4885 0.5770
34 O 0.4960 0.3678 0.1437
35 Na 0.9762 0.6656 0.9203
36 O 0.8197 0.9835 0.4150
37 O 0.4868 0.3187 0.7484
38 O 0.9765 0.1768 0.5867
39 Na 0.9588 0.2997 0.4100
40 O 0.6806 0.5124 0.2462
41 O 0.3607 0.4818 0.3608
42 Na 0.3353 0.0266 0.4198
43 O 0.8269 0.7809 0.3102
44 O 0.8360 0.0251 0.8109
45 O 0.1569 0.6542 0.0763
46 Na 0.7101 0.6721 0.4200
47 O 0.7894 0.9574 0.6897
48 O 0.3012 0.8405 0.2510
49 Si 0.6638 0.6241 0.5831
50 Ga 0.6855 0.3625 0.1839
51 O 0.8834 0.3668 0.6386
52 O 0.1774 0.0212 0.5899
53 O 0.6941 0.1536 0.0277
54 O 0.1789 0.9772 0.1938
55 O 0.7002 0.1808 0.7460
56 Na 0.6999 0.0402 0.9104
57 Si 0.0393 0.3764 0.9162
58 Na 0.2946 0.9673 0.0769
59 O 0.6368 0.5064 0.9207
60 Na 0.3085 0.3309 0.5867
61 Na 0.6820 0.3400 0.3332
62 Na 0.6665 0.6898 0.0868
63 Si 0.3699 0.0372 0.5826
64 O 0.5032 0.8769 0.3554
65 O 0.8501 0.5363 0.7470
66 O 0.1643 0.4580 0.9761
67 O 0.8436 0.3563 0.9245
68 Na 0.0415 0.3405 0.0871
69 O 0.3111 0.4915 0.7591
70 Ga 0.6659 0.3355 0.4819
71 O 0.3631 0.5150 0.0747
72 O 0.1706 0.4826 0.2530
73 Na 0.0309 0.7060 0.5768
74 O 0.8351 0.8193 0.5882
75 O 0.8026 0.8358 0.1894
76 O 0.1700 0.2136 0.6897
77 O 0.1802 0.2037 0.4136
78 Na 0.6268 0.6336 0.7441
79 O 0.8495 0.4971 0.4216
80 O 0.7067 0.5410 0.5230
81 O 0.8172 0.2987 0.2438
82 O 0.1257 0.6271 0.3551
83 Al 0.3320 0.6692 0.8155
84 Si 0.7073 0.7101 0.2484
85 O 0.1308 0.5032 0.8569
86 O 0.6328 0.5030 0.6445
87 O 0.0361 0.8497 0.4124
88 O 0.4566 0.1653 0.5235
89 O 0.3687 0.8661 0.8566
90 O 0.4949 0.1116 0.6432
91 Si 0.6230 0.9601 0.4169
92 O 0.2120 0.0299 0.3052
93 Na 0.3754 0.0058 0.7542
94 O 0.3043 0.8309 0.9768
95 S 0.6663 0.0427 0.0824
96 S 0.6207 0.6661 0.9168
97 S 0.0031 0.7116 0.7519
98 Si 0.9597 0.6292 0.0815
99 O 0.4686 0.2981 0.0229
100 O 0.6428 0.1549 0.4227
101 O 0.9770 0.8229 0.0901
102 Na 0.3261 0.6517 0.1663
103 O 0.4827 0.6347 0.5758
104 Ga 0.6361 0.3136 0.6853
105 O 0.4635 0.1520 0.2436
106 O 0.1516 0.9688 0.9098
107 O 0.4923 0.3616 0.4204
108 Si 0.0462 0.6673 0.4171
109 Na 0.0149 0.0067 0.0000
110 O 0.8271 0.0284 0.0864
111 Na 0.0010 0.3582 0.7537
112 O 0.5129 0.6392 0.8614
113 O 0.2054 0.1683 0.8098
114 O 0.1808 0.1618 0.0888
115 Al 0.0005 0.0019 0.1473
116 Na 0.3274 0.2911 0.9203
117 Na 0.9943 0.9862 0.5003
118 Ga 0.9978 0.0013 0.6497
119 Si 0.2905 0.2970 0.7512
120 Na 0.9935 0.6230 0.2539
121 O 0.1686 0.6912 0.4769
122 O 0.8891 0.5058 0.1425
123 O 0.3465 0.8415 0.5774
124 Al 0.3498 0.6918 0.5190
125 Na 0.6608 0.3190 0.8340
126 O 0.6329 0.1165 0.1381

---

2.
## RbPr2Cl7 (PBE)

Data for an optimized crystal structure of RbPr2Cl7.

Properties
ΔH_f (0 K)	-2.6785	eV/atom
crystal system	orthorhombic

Unit cell a=9.8572 b=14.9359 c=16.8859 alpha=90.00 beta=90.00 gamma=90.00
Sites, in units of the cell vectors:
1 Cl 0.2500 0.1292 0.5967
2 Cl 0.7500 0.1903 0.6591
3 Rb 0.2500 0.5661 0.5673
4 Pr 0.2500 0.7098 0.0604
5 Pr 0.5269 0.2558 0.1613
6 Cl 0.5117 0.9289 0.2667
7 Cl 0.0224 0.2811 0.9953
8 Rb 0.7500 0.4339 0.4327
9 Pr 0.9731 0.7558 0.3387
10 Cl 0.7500 0.7440 0.2301
11 Cl 0.5117 0.4289 0.2333
12 Cl 0.7500 0.6581 0.4202
13 Cl 0.0117 0.5711 0.7667
14 Cl 0.2500 0.5226 0.0841
15 Cl 0.2500 0.3097 0.1591
16 Cl 0.9776 0.2189 0.4953
17 Cl 0.5762 0.8319 0.6972
18 Cl 0.9883 0.4289 0.2333
19 Cl 0.0762 0.6681 0.1972
20 Pr 0.7500 0.2902 0.9396
21 Cl 0.2500 0.6292 0.9033
22 Rb 0.7500 0.9339 0.0673
23 Cl 0.0760 0.5844 0.3808
24 Cl 0.4776 0.7811 0.5047
25 Pr 0.7500 0.9891 0.7554
26 Cl 0.4240 0.5844 0.3808
27 Cl 0.2500 0.8097 0.3409
28 Cl 0.7500 0.1581 0.0798
29 Cl 0.5224 0.7189 0.0047
30 Rb 0.7500 0.0853 0.4045
31 Pr 0.0269 0.7442 0.8387
32 Pr 0.0269 0.2442 0.6613
33 Cl 0.9240 0.4156 0.6192
34 Pr 0.7500 0.4891 0.7446
35 Cl 0.2500 0.3419 0.5798
36 Cl 0.5760 0.9156 0.8808
37 Cl 0.7500 0.2440 0.2699
38 Cl 0.2500 0.2560 0.7699
39 Cl 0.7500 0.4774 0.9159
40 Cl 0.2500 0.8790 0.1232
41 Cl 0.2500 0.3790 0.3768
42 Cl 0.4240 0.0844 0.1192
43 Rb 0.2500 0.4147 0.9045
44 Pr 0.2500 0.2098 0.4396
45 Cl 0.0117 0.0711 0.7333
46 Cl 0.0762 0.1681 0.3028
47 Cl 0.4238 0.1681 0.3028
48 Cl 0.9776 0.7189 0.0047
49 Cl 0.7500 0.8708 0.4033
50 Cl 0.7500 0.6210 0.6232
51 Cl 0.9238 0.8319 0.6972
52 Pr 0.7500 0.7902 0.5604
53 Cl 0.4238 0.6681 0.1972
54 Cl 0.0760 0.0844 0.1192
55 Cl 0.7500 0.9774 0.5841
56 Rb 0.2500 0.9147 0.5955
57 Pr 0.4731 0.2442 0.6613
58 Cl 0.9240 0.9156 0.8808
59 Cl 0.4883 0.0711 0.7333
60 Cl 0.5760 0.4156 0.6192
61 Cl 0.2500 0.7560 0.7301
62 Rb 0.2500 0.0661 0.9327
63 Cl 0.2500 0.8419 0.9202
64 Cl 0.7500 0.6903 0.8409
65 Cl 0.9883 0.9289 0.2667
66 Cl 0.4883 0.5711 0.7667
67 Cl 0.2500 0.0226 0.4159
68 Cl 0.4776 0.2811 0.9953
69 Pr 0.4731 0.7442 0.8387
70 Cl 0.7500 0.3708 0.0967
71 Pr 0.2500 0.0109 0.2446
72 Rb 0.7500 0.5853 0.0955
73 Cl 0.0224 0.7811 0.5047
74 Pr 0.9731 0.2558 0.1613
75 Cl 0.7500 0.1210 0.8768
76 Pr 0.2500 0.5109 0.2554
77 Cl 0.9238 0.3319 0.8028
78 Pr 0.5269 0.7558 0.3387
79 Cl 0.5762 0.3319 0.8028
80 Cl 0.5224 0.2189 0.4953